Entry 1:
Compound: EuHg3
Source: the Materials Project database
Functional: PBE
Structure: optimized geometry

Calculated values
SG: No. 194
ρ (kg/m³): 11529

Lattice parameters (Å, degrees): 5.2985 6.8788 6.8788 120.00 90.00 90.00
Last column: nearest neighbours and their distance in Å.
Element x y z (fractional)
Hg1 0.2500 0.1620 0.3240  8 Hg 3.28-3.54, 4 Eu 3.34-3.44
Hg2 0.7500 0.3240 0.1620  8 Hg 3.28-3.54, 4 Eu 3.34-3.44
Hg3 0.2500 0.6760 0.8380  8 Hg 3.28-3.54, 4 Eu 3.34-3.44
Hg4 0.2500 0.1620 0.8380  8 Hg 3.28-3.54, 4 Eu 3.34-3.44
Hg5 0.7500 0.8380 0.1620  8 Hg 3.28-3.54, 4 Eu 3.34-3.44
Hg6 0.7500 0.8380 0.6760  8 Hg 3.28-3.54, 4 Eu 3.34-3.44
Eu1 0.2500 0.6667 0.3333  12 Hg 3.34-3.44
Eu2 0.7500 0.3333 0.6667  12 Hg 3.34-3.44


Entry 2:
Compound: Na6Hf4Ga4Si5S7O48
Source: the Materials Project database
Functional: PBE
Structure: optimized geometry

Calculated values
SG: No. 1
ρ (kg/m³): 3659

Lattice parameters (Å, degrees): 17.6826 8.8639 22.7538 90.00 89.79 120.22
Last column: nearest neighbours and their distance in Å.
Element x y z (fractional)
S1 0.3324 0.0460 0.0849  4 O 1.45-1.50
S2 0.6515 0.0045 0.2513  4 O 1.48-1.49
S3 0.1666 0.3719 0.4140  4 O 1.47-1.51
S4 0.6670 0.9572 0.9150  4 O 1.46-1.53
S5 0.3525 0.9990 0.7507  4 O 1.47-1.50
S6 0.8538 0.7074 0.2511  4 O 1.47-1.50
S7 0.4955 0.7049 0.7528  4 O 1.47-1.51
S8 0.4755 0.3331 0.5844  4 O 1.48-1.50
S9 0.8120 0.9520 0.4117  4 O 1.48-1.50
S10 0.1448 0.0006 0.2516  4 O 1.46-1.50
S11 0.4769 0.6230 0.0844  4 O 1.47-1.49
S12 0.1517 0.2990 0.7515  4 O 1.48-1.49
S13 0.8334 0.6218 0.5842  4 O 1.44-1.50
S14 0.3127 0.9627 0.4170  4 O 1.48-1.49
S15 0.3127 0.6734 0.9116  4 O 1.47-1.51
S16 0.9976 0.2865 0.2530  4 O 1.48-1.49
S17 0.9759 0.3297 0.5843  4 O 1.45-1.51
S18 0.9761 0.6167 0.0853  4 O 1.46-1.50
S19 0.5170 0.6580 0.4156  4 O 1.48-1.50
S20 0.8135 0.6617 0.9178  4 O 1.48-1.49
S21 0.0164 0.3756 0.9159  4 O 1.48-1.51
O1 0.5922 0.1492 0.0879  1 Si 1.64
O2 0.3225 0.5171 0.9198  1 S 1.49
O3 0.0860 0.9725 0.2009  1 S 1.49
O4 0.5971 0.0280 0.5903  1 Si 1.64
O5 0.4852 0.1768 0.5882  1 S 1.48
O6 0.7549 0.6434 0.5764  1 S 1.50
O7 0.2493 0.1288 0.6401  1 Si 1.62, 1 Ga 1.80
O8 0.9386 0.5160 0.1407  1 S 1.49
O9 0.2508 0.6888 0.2609  1 Si 1.64
O10 0.9880 0.7887 0.8058  1 Si 1.64
O11 0.5646 0.4916 0.5778  1 S 1.50
O12 0.4379 0.3589 0.6389  1 S 1.48
O13 0.9108 0.7913 0.3037  1 S 1.50
O14 0.2562 0.6409 0.8601  1 S 1.47
O15 0.2716 0.6957 0.9666  1 S 1.51
O16 0.0592 0.4756 0.8615  1 S 1.49
O17 0.0926 0.0371 0.5866  1 Si 1.63
O18 0.3992 0.9746 0.4114  1 S 1.49
O19 0.4138 0.7966 0.3079  1 Si 1.64
O20 0.5085 0.8161 0.4122  1 S 1.48
O21 0.0735 0.4629 0.9686  1 S 1.51
O22 0.9234 0.5390 0.0327  1 S 1.46
O23 0.1808 0.4792 0.3606  1 S 1.48
O24 0.9206 0.3109 0.2484  1 S 1.49
O25 0.9011 0.9715 0.4067  1 S 1.50
O26 0.3214 0.1239 0.1378  1 S 1.45
O27 0.1086 0.1879 0.8041  1 S 1.49
O28 0.1531 0.8379 0.9752  1 Si 1.64
O29 0.0851 0.6628 0.7548  1 Si 1.67, 1 Ga 1.86
O30 0.7736 0.6896 0.9713  1 S 1.49
O31 0.5203 0.2161 0.1925  1 Si 1.63
O32 0.5820 0.5062 0.2553  1 Si 1.66
O33 0.5739 0.6844 0.4675  1 S 1.50
O34 0.5952 0.9727 0.1987  1 S 1.49
O35 0.2501 0.1493 0.9198  1 Si 1.64
O36 0.6480 0.4814 0.7540  1 Si 1.64
O37 0.0897 0.7114 0.4652  1 Si 1.63
O38 0.3198 0.5135 0.6426  1 Si 1.62, 1 Ga 1.78
O39 0.7521 0.8227 0.7613  1 Si 1.62
O40 0.0658 0.4857 0.5752  1 S 1.51
O41 0.5124 0.1801 0.9087  1 Si 1.67
O42 0.7571 0.8717 0.3594  1 S 1.48
O43 0.0785 0.9804 0.9135  1 Si 1.63
O44 0.6800 0.8517 0.5775  1 Si 1.66
O45 0.0076 0.2000 0.9134  1 S 1.49
O46 0.8461 0.5443 0.5293  1 S 1.49
O47 0.9160 0.0308 0.8081  1 Si 1.65
O48 0.9297 0.4957 0.4180  1 Si 1.62
O49 0.6747 0.4996 0.0787  1 Si 1.64
O50 0.7434 0.8567 0.0756  1 Si 1.62
O51 0.7388 0.1656 0.2454  1 S 1.49
O52 0.1751 0.8520 0.5787  1 Si 1.65
O53 0.1046 0.0274 0.3059  1 S 1.50
O54 0.9121 0.8023 0.5863  1 S 1.50
O55 0.4158 0.8229 0.5898  1 Si 1.63
O56 0.4806 0.7855 0.8052  1 S 1.48
O57 0.8975 0.8134 0.1981  1 S 1.48
O58 0.7373 0.1607 0.5250  1 Si 1.63
O59 0.1597 0.4722 0.7588  1 S 1.48
O60 0.2573 0.8823 0.3641  1 S 1.49
O61 0.3467 0.1617 0.7460  1 S 1.50
O62 0.9158 0.0137 0.0893  1 Si 1.65
O63 0.3963 0.8254 0.1942  1 Si 1.64
O64 0.2302 0.1497 0.5194  1 Si 1.66, 1 Ga 1.82
O65 0.9866 0.1780 0.3060  1 S 1.49
O66 0.2436 0.6314 0.5739  1 Si 1.63
O67 0.6048 0.1747 0.8124  1 Si 1.65, 1 Ga 1.82
O68 0.3423 0.5167 0.2481  1 Si 1.64
O69 0.9859 0.1729 0.5876  1 S 1.49
O70 0.8212 0.1250 0.1444  1 Si 1.63, 1 Ga 1.77
O71 0.8480 0.5341 0.2468  1 S 1.49
O72 0.0228 0.8286 0.6927  1 Si 1.63
O73 0.5036 0.8085 0.6989  1 S 1.49
O74 0.5683 0.4960 0.8529  1 Si 1.63
O75 0.6850 0.4943 0.3582  1 Si 1.62, 1 Ga 1.78
O76 0.8236 0.1289 0.4190  1 S 1.48
O77 0.0853 0.1948 0.4078  1 S 1.51
O78 0.3924 0.9748 0.6972  1 S 1.47
O79 0.4313 0.4956 0.4218  1 S 1.48
O80 0.0704 0.6462 0.3493  1 Si 1.65
O81 0.5759 0.6943 0.7553  1 S 1.47
O82 0.4189 0.5214 0.7466  1 S 1.51
O83 0.2386 0.3125 0.7459  1 S 1.49
O84 0.5874 0.4655 0.9681  1 Si 1.64
O85 0.9243 0.3112 0.5306  1 S 1.49
O86 0.4853 0.1845 0.3059  1 Si 1.63
O87 0.7512 0.3519 0.4198  1 Si 1.64
O88 0.6533 0.4692 0.4736  1 Si 1.63
O89 0.7451 0.1424 0.9199  1 S 1.53
O90 0.0778 0.4609 0.2552  1 S 1.48
O91 0.0969 0.1648 0.0923  1 Si 1.65
O92 0.4110 0.0232 0.0877  1 S 1.50
O93 0.7420 0.3202 0.7480  1 Si 1.61
O94 0.8224 0.5224 0.6366  1 S 1.44
O95 0.7588 0.6315 0.8655  1 S 1.48
O96 0.7720 0.8472 0.4658  1 S 1.49
O97 0.2650 0.8398 0.7563  1 S 1.48
O98 0.9415 0.3605 0.6380  1 S 1.45
O99 0.9309 0.3668 0.9228  1 S 1.48
O100 0.3452 0.1495 0.0306  1 S 1.48
O101 0.2323 0.1532 0.2459  1 S 1.46
O102 0.4281 0.3624 0.9209  1 Si 1.63
O103 0.6802 0.8783 0.8625  1 S 1.46
O104 0.1496 0.8383 0.2548  1 S 1.49
O105 0.8239 0.5061 0.9244  1 S 1.49
O106 0.4074 0.0270 0.8039  1 S 1.50
O107 0.5789 0.1768 0.4119  1 Si 1.63
O108 0.5862 0.9722 0.9125  1 S 1.50
O109 0.0957 0.2185 0.6987  1 S 1.49
O110 0.6596 0.8578 0.9693  1 S 1.48
O111 0.2514 0.3613 0.1440  1 Si 1.61
O112 0.4234 0.3094 0.5307  1 S 1.48
O113 0.6082 0.0288 0.3038  1 S 1.49
O114 0.8982 0.9656 0.6945  1 Si 1.65
O115 0.3583 0.5531 0.5238  1 Si 1.64, 1 Ga 1.77
O116 0.0166 0.8497 0.4049  1 Si 1.68, 1 Ga 1.87
O117 0.4236 0.5366 0.0323  1 S 1.47
O118 0.4113 0.3208 0.2390  1 Si 1.63
O119 0.0655 0.6382 0.0793  1 S 1.50
O120 0.2431 0.3448 0.4184  1 S 1.49
O121 0.4008 0.8304 0.9064  1 S 1.48
O122 0.7307 0.3102 0.0204  1 Si 1.64
O123 0.7547 0.1417 0.6418  1 Si 1.60
O124 0.5593 0.6435 0.3603  1 S 1.50
O125 0.3231 0.1383 0.4226  1 S 1.48
O126 0.4421 0.5219 0.1396  1 S 1.48
O127 0.5657 0.6456 0.0768  1 S 1.49
O128 0.1836 0.8724 0.8599  1 Si 1.61, 1 Ga 1.78
O129 0.5768 0.1965 0.6978  1 Si 1.64
O130 0.8576 0.1696 0.0253  1 Si 1.62, 1 Ga 1.80
O131 0.9005 0.8229 0.9128  1 S 1.49
O132 0.9883 0.7955 0.0920  1 S 1.50
O133 0.0067 0.1992 0.1998  1 S 1.49
O134 0.7473 0.3746 0.1412  1 Si 1.64, 1 Ga 1.78
O135 0.9156 0.5038 0.7380  1 Si 1.61
O136 0.2539 0.8670 0.0779  1 S 1.50
O137 0.2722 0.8545 0.4699  1 S 1.48
O138 0.1802 0.5086 0.0796  1 Si 1.65
O139 0.4858 0.7980 0.0894  1 S 1.48
O140 0.1553 0.4537 0.4669  1 S 1.47
O141 0.2372 0.3139 0.0266  1 Si 1.62
O142 0.7679 0.6953 0.2563  1 S 1.47
O143 0.8482 0.1718 0.7479  1 Si 1.62
O144 0.6595 0.8474 0.2587  1 S 1.48
Si1 0.6644 0.3724 0.4162  4 O 1.62-1.64
Si2 0.6449 0.2934 0.7522  4 O 1.61-1.65
Si3 0.0245 0.6694 0.4093  4 O 1.62-1.68
Si4 0.8317 0.0445 0.0826  4 O 1.62-1.65
Si5 0.6951 0.0507 0.5854  4 O 1.60-1.66
Si6 0.1630 0.9542 0.9168  4 O 1.61-1.64
Si7 0.1950 0.3402 0.0862  4 O 1.61-1.65
Si8 0.1875 0.0485 0.5826  4 O 1.62-1.66
Si9 0.0002 0.6936 0.7477  4 O 1.61-1.67
Si10 0.3470 0.7055 0.2524  4 O 1.64
Si11 0.6873 0.3289 0.0819  4 O 1.64
Si12 0.3336 0.6254 0.5830  4 O 1.62-1.64
Si13 0.5230 0.3779 0.9111  4 O 1.63-1.67
Si14 0.8488 0.9902 0.7525  4 O 1.62-1.65
Si15 0.4980 0.3041 0.2479  4 O 1.63-1.66
Na1 0.9955 0.3585 0.7497  3 O 2.28-2.36
Na2 0.3308 0.3234 0.8340  6 O 2.45-2.65
Na3 0.6745 0.6595 0.1651  4 O 2.43-2.58
Na4 0.4954 0.6370 0.2513  4 O 2.34-2.55
Na5 0.6650 0.2990 0.9165  6 O 2.36-2.62
Na6 0.1812 0.6608 0.1693  4 O 2.37-2.65
Na7 0.1661 0.0288 0.4253  6 O 2.35-2.59
Na8 0.8277 0.3356 0.3362  6 O 2.38-2.66
Na9 0.5030 0.0105 0.9969  6 O 2.46-2.74
Na10 0.0066 0.0131 0.9976  5 O 2.39-2.63
Na11 0.0019 0.9959 0.5021  5 O 2.42-2.69
Na12 0.5016 0.3655 0.7524  4 O 2.25-2.52
Na13 0.0004 0.6282 0.2547  5 O 2.34-2.47
Na14 0.3372 0.3429 0.3294  5 O 2.38-2.62
Na15 0.6799 0.6891 0.6746  2 O 2.33-2.43
Na16 0.8300 0.3283 0.8251  3 O 2.33-2.50
Na17 0.5059 0.9962 0.5029  6 O 2.49-2.75
Na18 0.1750 0.6896 0.6673  5 O 2.48-2.75
Ga1 0.8250 0.3063 0.9879  2 O 1.80-1.84
Ga2 0.6683 0.6545 0.8107  3 O 1.86-1.90
Ga3 0.1642 0.6948 0.8138  2 O 1.78-1.86
Ga4 0.5039 0.0212 0.8497  3 O 1.82-2.03
Ga5 0.9968 0.9880 0.3523  5 O 1.87-2.07
Ga6 0.8191 0.3042 0.6979  4 O 1.83-1.96
Ga7 0.3200 0.3323 0.6762  2 O 1.78-1.80
Ga8 0.3317 0.3524 0.1909  3 O 1.81-1.92
Ga9 0.1716 0.6645 0.3184  4 O 1.84-2.04
Ga10 0.6597 0.6312 0.3157  2 O 1.78-1.87
Ga11 0.8174 0.3076 0.1728  2 O 1.77-1.78
Ga12 0.3302 0.3450 0.4955  2 O 1.77-1.82
Hf1 0.6661 0.6675 0.5207  6 O 1.97-2.14
Hf2 0.9987 0.9840 0.8501  5 O 1.93-2.14
Hf3 0.5048 0.9986 0.6449  4 O 1.96-2.08
Hf4 0.9999 0.9893 0.6497  4 O 1.93-2.16
Hf5 0.1651 0.6745 0.5237  5 O 1.95-2.14
Hf6 0.4993 0.0105 0.1490  4 O 1.94-2.14
Hf7 0.6659 0.6569 0.0219  6 O 1.96-2.20
Hf8 0.8309 0.3366 0.4760  5 O 1.95-2.17
Hf9 0.9998 0.0096 0.1420  4 O 1.93-2.13
Hf10 0.1663 0.6631 0.0194  6 O 1.96-2.16
Hf11 0.4984 0.0118 0.3504  5 O 1.94-2.15
Hf12 0.3293 0.3253 0.9747  5 O 1.94-2.16


Entry 3:
Compound: UBi
Source: the Materials Project database
Functional: PBE
Structure: optimized geometry

Calculated values
SG: No. 225
ρ (kg/m³): 11520

Lattice parameters (Å, degrees): 4.5000 4.5000 4.5000 60.00 60.00 60.00
Last column: nearest neighbours and their distance in Å.
Element x y z (fractional)
U1 0.5000 0.5000 0.5000  6 Bi 3.18
Bi1 0.0000 0.0000 0.0000  6 U 3.18


Asked for calculated total energy across the records above, the calculation gives -3.22 -6.90 -7.40 eV/atom in order.